Tm2WO6, relaxed, DFT PBE with a Hubbard U; density = 8785 kg/m3; maximum piezoelectric response = 0.7 C/m2; E_form = -3332 meV per atom
1.0
-4.1654 -0.9371 -3.0020
-2.3180 -6.9024 5.3711
-5.3937 6.1429 5.5664
O Tm W
24 8 4
direct
0.2654 0.6157 0.9330 O
0.1782 0.5469 0.1991 O
0.8218 0.0469 0.3009 O
0.6762 0.6396 0.3186 O
0.7346 0.1157 0.5670 O
0.2494 0.9100 0.0044 O
0.8238 0.3604 0.8186 O
0.9110 0.1589 0.0298 O
0.8048 0.3579 0.2344 O
0.2506 0.0900 0.5044 O
0.3218 0.4531 0.6991 O
0.2346 0.3843 0.4330 O
0.0890 0.6589 0.4702 O
0.6952 0.6421 0.7344 O
0.7506 0.4100 0.4956 O
0.3048 0.1421 0.7656 O
0.7654 0.8843 0.0670 O
0.1952 0.8579 0.2656 O
0.7494 0.5900 0.9956 O
0.6782 0.9531 0.8009 O
0.5890 0.8411 0.5298 O
0.1762 0.8604 0.6814 O
0.3238 0.1396 0.1814 O
0.4110 0.3411 0.9702 O
0.4608 0.7195 0.1279 Tm
0.9812 0.8971 0.4654 Tm
0.0392 0.2805 0.6279 Tm
0.0188 0.3971 0.0346 Tm
0.4812 0.6029 0.5346 Tm
0.5392 0.2195 0.3721 Tm
0.9608 0.7805 0.8721 Tm
0.5188 0.1029 0.9654 Tm
0.0389 0.0052 0.1527 W
0.9611 0.5052 0.3473 W
0.4611 0.9948 0.6527 W
0.5389 0.4948 0.8473 W